{"formula": "SiH10C2N4O2F6", "functional": "PBE", "state": "relaxed", "cell": [[8.290, 0.000, 0.000], [0.000, 12.734, 0.000], [0.000, 0.000, 9.226]], "species": ["Si", "Si", "Si", "Si", "H", "H", "H", "H", "H", "H", "H", "H", "H", "H", "H", "H", "H", "H", "H", "H", "H", "H", "H", "H", "H", "H", "H", "H", "H", "H", "H", "H", "H", "H", "H", "H", "H", "H", "H", "H", "H", "H", "H", "H", "C", "C", "C", "C", "C", "C", "C", "C", "N", "N", "N", "N", "N", "N", "N", "N", "N", "N", "N", "N", "N", "N", "N", "N", "O", "O", "O", "O", "O", "O", "O", "O", "F", "F", "F", "F", "F", "F", "F", "F", "F", "F", "F", "F", "F", "F", "F", "F", "F", "F", "F", "F", "F", "F", "F", "F"], "frac_coords": [[0.000, 0.000, 0.000], [0.000, 0.500, 0.500], [0.500, 0.000, 0.500], [0.500, 0.500, 0.000], [0.033, 0.102, 0.318], [0.033, 0.398, 0.818], [0.087, 0.666, 0.765], [0.087, 0.834, 0.265], [0.170, 0.595, 0.128], [0.170, 0.905, 0.628], [0.216, 0.125, 0.503], [0.216, 0.375, 0.003], [0.245, 0.652, 0.890], [0.245, 0.848, 0.390], [0.255, 0.152, 0.890], [0.255, 0.348, 0.390], [0.284, 0.625, 0.503], [0.284, 0.875, 0.003], [0.330, 0.095, 0.128], [0.330, 0.405, 0.628], [0.413, 0.166, 0.765], [0.413, 0.334, 0.265], [0.467, 0.602, 0.318], [0.467, 0.898, 0.818], [0.533, 0.102, 0.182], [0.533, 0.398, 0.682], [0.587, 0.666, 0.735], [0.587, 0.834, 0.235], [0.670, 0.595, 0.372], [0.670, 0.905, 0.872], [0.716, 0.125, 0.997], [0.716, 0.375, 0.497], [0.745, 0.652, 0.610], [0.745, 0.848, 0.110], [0.755, 0.152, 0.610], [0.755, 0.348, 0.110], [0.784, 0.625, 0.997], [0.784, 0.875, 0.497], [0.830, 0.095, 0.372], [0.830, 0.405, 0.872], [0.913, 0.166, 0.735], [0.913, 0.334, 0.235], [0.967, 0.602, 0.182], [0.967, 0.898, 0.682], [0.015, 0.646, 0.971], [0.015, 0.854, 0.471], [0.485, 0.146, 0.971], [0.485, 0.354, 0.471], [0.515, 0.646, 0.529], [0.515, 0.854, 0.029], [0.985, 0.146, 0.529], [0.985, 0.354, 0.029], [0.053, 0.615, 0.104], [0.053, 0.885, 0.604], [0.126, 0.666, 0.871], [0.126, 0.834, 0.371], [0.374, 0.166, 0.871], [0.374, 0.334, 0.371], [0.447, 0.115, 0.104], [0.447, 0.385, 0.604], [0.553, 0.615, 0.396], [0.553, 0.885, 0.896], [0.626, 0.666, 0.629], [0.626, 0.834, 0.129], [0.874, 0.166, 0.629], [0.874, 0.334, 0.129], [0.947, 0.115, 0.396], [0.947, 0.385, 0.896], [0.136, 0.161, 0.569], [0.136, 0.339, 0.069], [0.364, 0.661, 0.569], [0.364, 0.839, 0.069], [0.636, 0.161, 0.931], [0.636, 0.339, 0.431], [0.864, 0.661, 0.931], [0.864, 0.839, 0.431], [0.031, 0.114, 0.904], [0.031, 0.386, 0.404], [0.122, 0.047, 0.136], [0.122, 0.453, 0.636], [0.166, 0.557, 0.416], [0.166, 0.943, 0.916], [0.334, 0.057, 0.416], [0.334, 0.443, 0.916], [0.378, 0.547, 0.136], [0.378, 0.953, 0.636], [0.469, 0.614, 0.904], [0.469, 0.886, 0.404], [0.531, 0.114, 0.596], [0.531, 0.386, 0.096], [0.622, 0.047, 0.364], [0.622, 0.453, 0.864], [0.666, 0.557, 0.084], [0.666, 0.943, 0.584], [0.834, 0.057, 0.084], [0.834, 0.443, 0.584], [0.878, 0.547, 0.364], [0.878, 0.953, 0.864], [0.969, 0.614, 0.596], [0.969, 0.886, 0.096]], "formation_energy_mev_per_atom": -1440, "spacegroup": "No. 61"}